# 1
A relaxed structure of RhN5Cl3, computed with GGA-PBE. Values from VASP.

Computed properties:
Its formation energy is 1.332 eV/atom. The total energy comes out at -40.8 eV/f.u. Its total magnetization is 1.00 μB/f.u.

The structure in Quantum ESPRESSO input format:
```
&SYSTEM
  ibrav = 0, nat = 36, ntyp = 3
/
ATOMIC_SPECIES
Cl 35.45 Cl.upf
N 14.01 N.upf
Rh 102.91 Rh.upf
CELL_PARAMETERS angstrom
-4.8616 -15.1860 5.6720
5.5882 -1.3011 1.3062
-0.9864 3.0130 7.2214
ATOMIC_POSITIONS crystal
Cl 0.6227 0.9859 0.8518
Cl 0.3773 0.0141 0.1482
Cl 0.1227 0.5141 0.6482
Cl 0.1227 0.9859 0.6482
Cl 0.8773 0.0141 0.3518
Cl 0.9142 0.2500 0.8994
Cl 0.4142 0.2500 0.6006
Cl 0.0858 0.7500 0.1006
Cl 0.5858 0.7500 0.3994
Cl 0.8773 0.4859 0.3518
Cl 0.3773 0.4859 0.1482
Cl 0.6227 0.5141 0.8518
N 0.5754 0.9834 0.2991
N 0.0754 0.5166 0.2009
N 0.7924 0.7500 0.9627
N 0.6963 0.2500 0.0995
N 0.9246 0.0166 0.7991
N 0.4246 0.0166 0.7009
N 0.9246 0.4834 0.7991
N 0.2924 0.7500 0.5373
N 0.2076 0.2500 0.0373
N 0.5754 0.5166 0.2991
N 0.3037 0.7500 0.9005
N 0.8037 0.7500 0.5995
N 0.0668 0.7500 0.6462
N 0.1963 0.2500 0.4005
N 0.4332 0.2500 0.1462
N 0.0754 0.9834 0.2009
N 0.9332 0.2500 0.3538
N 0.4246 0.4834 0.7009
N 0.7076 0.2500 0.4627
N 0.5668 0.7500 0.8538
Rh 0.3539 0.7500 0.7102
Rh 0.6461 0.2500 0.2898
Rh 0.8539 0.7500 0.7898
Rh 0.1461 0.2500 0.2102
```

***

# 2
A relaxed structure of Nd5Mg, computed with GGA-PBE. Values from VASP.

Computed properties:
Its formation energy is 0.008 eV/atom. The total energy comes out at -25.4 eV/f.u.

The structure in Quantum ESPRESSO input format:
```
&SYSTEM
  ibrav = 0, nat = 6, ntyp = 2
/
ATOMIC_SPECIES
Mg 24.30 Mg.upf
Nd 144.24 Nd.upf
CELL_PARAMETERS angstrom
6.0412 -3.1841 0.0000
6.0412 3.1841 0.0000
4.3631 0.0000 5.2534
ATOMIC_POSITIONS crystal
Mg 0.5000 0.5000 0.5000
Nd 0.3525 0.0000 0.6475
Nd 0.8351 0.8351 0.8351
Nd 0.6475 0.3525 0.0000
Nd 0.1649 0.1649 0.1649
Nd 0.0000 0.6475 0.3525
```

***

What is the formula in the first record?
RhN5Cl3